## Na3Ti10S20 (PBE)

Data for Na3Ti10S20 after structural relaxation.

Results
MP2020-corrected energy	-6.659	eV per atom
calculated volume	659.3	Å³ per cell

a = 9.057 Å, b = 9.057 Å, c = 13.128 Å
α = 87.16°, β = 87.16°, γ = 141.73°
Positions (direct):
Na  0.273  0.273  0.996
Na  0.125  0.732  0.004
Na  0.732  0.125  0.004
Ti  0.575  0.772  0.277
Ti  0.178  0.178  0.277
Ti  0.023  0.023  0.723
Ti  0.772  0.575  0.277
Ti  0.626  0.428  0.723
Ti  0.373  0.973  0.278
Ti  0.227  0.826  0.722
Ti  0.973  0.373  0.278
Ti  0.826  0.227  0.722
Ti  0.428  0.626  0.723
S  0.948  0.147  0.164
S  0.795  0.995  0.616
S  0.547  0.547  0.164
S  0.394  0.394  0.616
S  0.147  0.948  0.164
S  0.995  0.795  0.616
S  0.743  0.344  0.164
S  0.805  0.805  0.385
S  0.595  0.195  0.616
S  0.657  0.657  0.836
S  0.344  0.743  0.164
S  0.405  0.205  0.385
S  0.195  0.595  0.616
S  0.254  0.053  0.837
S  0.005  0.605  0.384
S  0.853  0.453  0.838
S  0.605  0.005  0.384
S  0.453  0.853  0.838
S  0.205  0.405  0.385
S  0.053  0.254  0.837

## NaTmS2 (PBE)

Data for NaTmS2 after structural relaxation.

Results
MP2020-corrected energy	-5.619	eV per atom
calculated volume	89.3	Å³ per cell

a = 3.931 Å, b = 3.931 Å, c = 7.050 Å
α = 73.81°, β = 73.81°, γ = 60.00°
Positions (direct):
Na  0.500  0.500  0.500
Tm  0.000  0.000  0.000
S  0.259  0.259  0.224
S  0.741  0.741  0.776

## NaVS2 (PBE)

Data for NaVS2 after structural relaxation.

Results
MP2020-corrected energy	-5.930	eV per atom
calculated volume	73.0	Å³ per cell

a = 3.549 Å, b = 3.549 Å, c = 6.688 Å
α = 90.00°, β = 90.00°, γ = 120.00°
Positions (direct):
Na  0.000  0.000  0.500
V  0.000  0.000  0.000
S  0.667  0.333  0.798
S  0.333  0.667  0.202

## NaVS2 (PBE)

Data for NaVS2 after structural relaxation.

Results
MP2020-corrected energy	-5.921	eV per atom
calculated volume	73.7	Å³ per cell

a = 3.572 Å, b = 3.572 Å, c = 6.980 Å
α = 75.18°, β = 75.18°, γ = 60.00°
Positions (direct):
Na  0.166  0.166  0.501
V  0.998  0.998  0.007
S  0.598  0.598  0.207
S  0.398  0.398  0.805

## NaVS2 (PBE)

Data for NaVS2 after structural relaxation.

Results
MP2020-corrected energy	-5.937	eV per atom
calculated volume	72.9	Å³ per cell

a = 6.861 Å, b = 6.861 Å, c = 6.861 Å
α = 30.31°, β = 30.31°, γ = 30.31°
Positions (direct):
Na  0.500  0.500  0.500
V  0.000  0.000  0.000
S  0.266  0.266  0.266
S  0.734  0.734  0.734

## NaV6S8 (PBE)

Data for NaV6S8 after structural relaxation.

Results
MP2020-corrected energy	-7.208	eV per atom
calculated volume	234.4	Å³ per cell

a = 9.113 Å, b = 9.113 Å, c = 3.259 Å
α = 90.00°, β = 90.00°, γ = 120.00°
Positions (direct):
Na  0.000  0.000  0.500
V  0.115  0.491  0.749
V  0.509  0.624  0.749
V  0.376  0.885  0.749
V  0.885  0.509  0.251
V  0.491  0.376  0.251
V  0.624  0.115  0.251
S  0.667  0.333  0.750
S  0.333  0.667  0.250
S  0.292  0.342  0.752
S  0.658  0.950  0.752
S  0.050  0.708  0.752
S  0.708  0.658  0.248
S  0.342  0.050  0.248
S  0.950  0.292  0.248

## NaYS2 (PBE)

Data for NaYS2 after structural relaxation.

Results
MP2020-corrected energy	-6.113	eV per atom
calculated volume	92.1	Å³ per cell

a = 3.989 Å, b = 3.989 Å, c = 7.067 Å
α = 73.60°, β = 73.60°, γ = 60.00°
Positions (direct):
Na  0.000  0.000  0.000
Y  0.500  0.500  0.500
S  0.758  0.758  0.727
S  0.242  0.242  0.273

## NaYZrS4 (PBE)

Data for NaYZrS4 after structural relaxation.

Results
MP2020-corrected energy	-6.650	eV per atom
calculated volume	171.2	Å³ per cell

a = 3.869 Å, b = 6.597 Å, c = 7.042 Å
α = 72.26°, β = 90.00°, γ = 90.00°
Positions (direct):
Na  0.000  0.500  0.500
Y  0.500  0.500  0.000
Zr  0.000  0.000  0.000
S  0.500  0.777  0.221
S  0.000  0.243  0.220
S  0.500  0.223  0.779
S  0.000  0.757  0.780

## Na2ZnS2 (PBE)

Data for Na2ZnS2 after structural relaxation.

Results
MP2020-corrected energy	-3.621	eV per atom
calculated volume	438.8	Å³ per cell

a = 7.085 Å, b = 6.879 Å, c = 9.017 Å
α = 86.88°, β = 90.00°, γ = 90.00°
Positions (direct):
Na  0.166  0.947  0.677
Na  0.666  0.553  0.323
Na  0.834  0.053  0.323
Na  0.334  0.447  0.677
Na  0.262  0.991  0.045
Na  0.762  0.509  0.955
Na  0.738  0.009  0.955
Na  0.238  0.491  0.045
Zn  0.093  0.654  0.372
Zn  0.593  0.846  0.628
Zn  0.907  0.346  0.628
Zn  0.407  0.154  0.372
S  0.614  0.194  0.586
S  0.114  0.306  0.414
S  0.386  0.806  0.414
S  0.886  0.694  0.586
S  0.541  0.253  0.148
S  0.041  0.247  0.852
S  0.459  0.747  0.852
S  0.959  0.753  0.148

## Na2Zn2S3 (PBE)

Data for Na2Zn2S3 after structural relaxation.

Results
MP2020-corrected energy	-3.625	eV per atom
calculated volume	308.3	Å³ per cell

a = 7.070 Å, b = 7.019 Å, c = 7.042 Å
α = 61.93°, β = 90.00°, γ = 90.00°
Positions (direct):
Na  0.837  0.855  0.401
Na  0.337  0.145  0.099
Na  0.163  0.145  0.599
Na  0.663  0.855  0.901
Zn  0.118  0.659  0.069
Zn  0.618  0.341  0.431
Zn  0.882  0.341  0.931
Zn  0.382  0.659  0.569
S  0.406  0.635  0.241
S  0.906  0.365  0.259
S  0.594  0.365  0.759
S  0.094  0.635  0.741
S  0.000  0.000  0.000
S  0.500  0.000  0.500

## Na2ZnS2 (PBE)

Data for Na2ZnS2 after structural relaxation.

Results
MP2020-corrected energy	-3.592	eV per atom
calculated volume	904.0	Å³ per cell

a = 6.756 Å, b = 7.165 Å, c = 18.676 Å
α = 90.00°, β = 90.00°, γ = 90.00°
Positions (direct):
Na  0.989  0.686  0.068
Na  0.011  0.814  0.568
Na  0.511  0.186  0.932
Na  0.489  0.314  0.432
Na  0.011  0.314  0.932
Na  0.989  0.186  0.432
Na  0.489  0.814  0.068
Na  0.511  0.686  0.568
Na  0.678  0.544  0.201
Na  0.322  0.956  0.701
Na  0.822  0.044  0.799
Na  0.178  0.456  0.299
Na  0.322  0.456  0.799
Na  0.678  0.044  0.299
Na  0.178  0.956  0.201
Na  0.822  0.544  0.701
Zn  0.134  0.879  0.921
Zn  0.866  0.621  0.421
Zn  0.366  0.379  0.079
Zn  0.634  0.121  0.579
Zn  0.866  0.121  0.079
Zn  0.134  0.379  0.579
Zn  0.634  0.621  0.921
Zn  0.366  0.879  0.421
S  0.208  0.105  0.048
S  0.792  0.395  0.548
S  0.292  0.605  0.952
S  0.708  0.895  0.452
S  0.792  0.895  0.952
S  0.208  0.605  0.452
S  0.708  0.395  0.048
S  0.292  0.105  0.548
S  0.275  0.578  0.166
S  0.725  0.922  0.666
S  0.225  0.078  0.834
S  0.775  0.422  0.334
S  0.725  0.422  0.834
S  0.275  0.078  0.334
S  0.775  0.922  0.166
S  0.225  0.578  0.666

## Na2ZnS2 (PBE)

Data for Na2ZnS2 after structural relaxation.

Results
MP2020-corrected energy	-3.616	eV per atom
calculated volume	216.0	Å³ per cell

a = 7.117 Å, b = 7.117 Å, c = 7.117 Å
α = 130.34°, β = 125.99°, γ = 76.41°
Positions (direct):
Na  0.491  0.142  0.349
Na  0.509  0.858  0.651
Na  0.207  0.358  0.849
Na  0.793  0.642  0.151
Zn  0.000  0.250  0.250
Zn  0.000  0.750  0.750
S  0.324  0.611  0.713
S  0.676  0.389  0.287
S  0.103  0.889  0.213
S  0.897  0.111  0.787